First-principles (PBE-GGA) data for crystalline Ti4Co4Si7 at its relaxed geometry, as listed in Materials Project.

a = 9.1702 Å, b = 9.1702 Å, c = 9.1702 Å
α = 94.13°, β = 94.13°, γ = 148.86°
Atoms (fractional coordinates):
Ti: 0.0000 0.1929 0.1929
Ti: 0.0000 0.8071 0.8071
Ti: 0.1929 0.0000 0.1929
Ti: 0.3646 0.3646 0.7292
Ti: 0.3646 0.6354 0.0000
Ti: 0.6354 0.3646 0.0000
Ti: 0.6354 0.6354 0.2708
Ti: 0.8071 0.0000 0.8071
Co: 0.1005 0.6005 0.2010
Co: 0.1005 0.8995 0.5000
Co: 0.3995 0.6005 0.5000
Co: 0.3995 0.8995 0.7990
Co: 0.6005 0.1005 0.2010
Co: 0.6005 0.3995 0.5000
Co: 0.8995 0.1005 0.5000
Co: 0.8995 0.3995 0.7990
Si: 0.0000 0.4052 0.4052
Si: 0.0000 0.5948 0.5948
Si: 0.2064 0.2064 0.4128
Si: 0.2058 0.5000 0.7058
Si: 0.2064 0.7936 0.0000
Si: 0.2499 0.2499 0.0000
Si: 0.4052 0.0000 0.4052
Si: 0.5000 0.2058 0.7058
Si: 0.5000 0.7942 0.2942
Si: 0.5948 0.0000 0.5948
Si: 0.7501 0.7501 0.0000
Si: 0.7936 0.2064 0.0000
Si: 0.7942 0.5000 0.2942
Si: 0.7936 0.7936 0.5872

Computed properties:
* energy of formation from the pure elements: -0.73 eV per atom
* SG: I4/mmm, No. 139
* uncorrected energy: -7.293 eV/atom